1.
## Rb2U2O5 (PBE)

Data for a relaxed Rb2U2O5 crystal.

Summary:
Its space-group type is P4/mmm (123).

Unit cell a=4.370 b=4.370 c=9.083 alpha=90.00 beta=90.00 gamma=90.00
Fractional coordinates of all 9 atoms:
Rb 0.000 0.000 0.000
Rb 0.000 0.000 0.500
U 0.500 0.500 0.238
U 0.500 0.500 0.762
O 0.000 0.500 0.261
O 0.000 0.500 0.739
O 0.500 0.000 0.261
O 0.500 0.000 0.739
O 0.500 0.500 0.000


2.
## Rb2UO4 (PBE)

Data for a relaxed Rb2UO4 crystal.

Summary:
Its space-group type is I4/mmm (139).

Unit cell a=7.745 b=7.745 c=7.745 alpha=147.08 beta=147.08 gamma=47.24
Fractional coordinates of all 7 atoms:
Rb 0.154 0.154 0.000
Rb 0.846 0.846 0.000
U 0.500 0.500 0.000
O 0.000 0.500 0.500
O 0.362 0.362 0.000
O 0.500 0.000 0.500
O 0.638 0.638 0.000


| no. | formation enthalpy at 0 K (kJ/mol of atoms) |
| --- | --- |
| 1 | -287.4 |
| 2 | -293.6 |